DFT (PBE) results for a geometry-optimized SrGd3 structure.

```
SrGd3
1.0
-5.379 -1.611 3.202
-4.961 3.605 -2.044
4.391 -3.534 -3.164
Gd Sr
3 1
Direct
0.500 0.500 0.000
0.750 0.250 0.500
0.250 0.750 0.500
0.000 0.000 0.000
```

Its formation enthalpy at 0 K is 0.170 eV/atom. As for the total energy: -10.809 eV per atom. Its calculated density is 6387 kg/m³.